No. 1
Computed, not measured: an optimized crystal structure of SrLi2CrN3 at the PBE level of DFT.

Cell: 7.3629 10.5564 9.1655 Å, 90.00 90.00 90.00°
Fractional coordinates of all 56 atoms:
Sr  0.0854  0.0819  0.1919
Sr  0.0854  0.4181  0.6919
Sr  0.4146  0.5819  0.1919
Sr  0.4146  0.9181  0.6919
Sr  0.5854  0.0819  0.3081
Sr  0.5854  0.4181  0.8081
Sr  0.9146  0.5819  0.3081
Sr  0.9146  0.9181  0.8081
Li  0.0961  0.7198  0.6180
Li  0.0961  0.7802  0.1180
Li  0.2112  0.6839  0.8801
Li  0.2112  0.8161  0.3801
Li  0.2888  0.1839  0.8801
Li  0.2888  0.3161  0.3801
Li  0.4039  0.2198  0.6180
Li  0.4039  0.2802  0.1180
Li  0.5961  0.7198  0.8820
Li  0.5961  0.7802  0.3820
Li  0.7112  0.6839  0.6199
Li  0.7112  0.8161  0.1199
Li  0.7888  0.1839  0.6199
Li  0.7888  0.3161  0.1199
Li  0.9039  0.2198  0.8820
Li  0.9039  0.2802  0.3820
Cr  0.1061  0.0822  0.5477
Cr  0.1061  0.4178  0.0477
Cr  0.3939  0.5822  0.5477
Cr  0.3939  0.9178  0.0477
Cr  0.6061  0.0822  0.9523
Cr  0.6061  0.4178  0.4523
Cr  0.8939  0.5822  0.9523
Cr  0.8939  0.9178  0.4523
N  0.0774  0.1556  0.7166
N  0.0774  0.3444  0.2166
N  0.1019  0.5961  0.0679
N  0.1019  0.9039  0.5679
N  0.2058  0.6250  0.4509
N  0.2058  0.8750  0.9509
N  0.2942  0.1250  0.4509
N  0.2942  0.3750  0.9509
N  0.3981  0.0961  0.0679
N  0.3981  0.4039  0.5679
N  0.4226  0.6556  0.7166
N  0.4226  0.8444  0.2166
N  0.5774  0.1556  0.7834
N  0.5774  0.3444  0.2834
N  0.6019  0.5961  0.4321
N  0.6019  0.9039  0.9321
N  0.7058  0.6250  0.0491
N  0.7058  0.8750  0.5491
N  0.7942  0.1250  0.0491
N  0.7942  0.3750  0.5491
N  0.8981  0.0961  0.4321
N  0.8981  0.4039  0.9321
N  0.9226  0.6556  0.7834
N  0.9226  0.8444  0.2834

Summary:
Magnetic moment in μB per formula unit: 0.000
Total energy in Ha/atom: -0.2405
Space-group type: Pbca

No. 2
Computed, not measured: an optimized crystal structure of LiCrRh2 at the PBE level of DFT.

Cell: 4.1677 4.1677 4.1677 Å, 60.00 60.00 60.00°
Fractional coordinates of all 4 atoms:
Li  0.0000  0.0000  0.0000
Cr  0.5000  0.5000  0.5000
Rh  0.2500  0.2500  0.2500
Rh  0.7500  0.7500  0.7500

Summary:
Total energy in Ha/atom: -0.2462
Space-group type: Fm-3m

Question: What is the formula in the second record?
Answer: LiCrRh2

Question: Which of these has the highest total energy?
Answer: SrLi2CrN3